A relaxed Lu2Be2SiO7 crystal, computed with PBE.

The structure in POSCAR format:
```
Lu2Be2SiO7
1.0
7.238 0.000 0.000
0.000 7.238 0.000
0.000 0.000 4.724
Lu Be Si O
4 4 2 14
direct
0.157 0.343 0.512 Lu
0.843 0.657 0.512 Lu
0.657 0.157 0.488 Lu
0.343 0.843 0.488 Lu
0.637 0.863 0.956 Be
0.363 0.137 0.956 Be
0.137 0.637 0.044 Be
0.863 0.363 0.044 Be
0.000 0.000 0.000 Si
0.500 0.500 0.000 Si
0.000 0.500 0.192 O
0.500 0.000 0.808 O
0.641 0.859 0.293 O
0.359 0.141 0.293 O
0.141 0.641 0.707 O
0.859 0.359 0.707 O
0.085 0.838 0.206 O
0.915 0.162 0.206 O
0.162 0.085 0.794 O
0.415 0.338 0.794 O
0.838 0.915 0.794 O
0.585 0.662 0.794 O
0.338 0.585 0.206 O
0.662 0.415 0.206 O
```

- ΔH_f (0 K) (eV/atom) = -3.596
- SG = P-42_1m, No. 113
- volume (Å³/cell) = 248
- total energy (eV for the cell shown) = -189.860


A relaxed Rb3Hf crystal, computed with PBE.

The structure in POSCAR format:
```
Rb3Hf
1.0
4.396 -7.613 0.000
4.396 7.613 0.000
0.000 0.000 6.995
Rb Hf
6 2
direct
0.176 0.353 0.250 Rb
0.647 0.824 0.250 Rb
0.176 0.824 0.250 Rb
0.824 0.647 0.750 Rb
0.353 0.176 0.750 Rb
0.824 0.176 0.750 Rb
0.333 0.667 0.750 Hf
0.667 0.333 0.250 Hf
```

- ΔH_f (0 K) (eV/atom) = 1.178
- E above lowest polymorph (kJ/mol of formula units) = 4
- SG = P6_3/mmc, No. 194
- volume (Å³/cell) = 468
- total energy (eV for the cell shown) = -16.374